Record 1
Here is MgCuO3 after structural relaxation from Materials Project. Energies are from PBE-GGA.

Unit cell a=3.731 b=3.731 c=3.731 alpha=90.00 beta=90.00 gamma=90.00
Space group Pm-3m (No. 221)
Inequivalent atoms, fractional coordinates:
Mg1 0.000 0.000 0.000 [1 per cell]
Cu1 0.500 0.500 0.500 [1 per cell]
O1 0.000 0.500 0.500 [3 per cell]

Summary:
Formation energy = -1.16 eV/atom
Crystal system = cubic
Volume = 10.39 A^3/atom
Energy = -4.86 eV per atom

Record 2
Here is MgCu2O2 after structural relaxation from Materials Project. Energies are from PBE-GGA.

Unit cell a=2.829 b=4.639 c=5.591 alpha=91.34 beta=90.11 gamma=90.00
Space group P-1 (No. 2)
Inequivalent atoms, fractional coordinates:
Mg1 0.000 0.000 0.000 [1 per cell]
Cu1 0.000 0.000 0.500 [1 per cell]
Cu2 0.500 0.500 0.000 [1 per cell]
O1 0.500 0.015 0.254 [2 per cell]

Summary:
Formation energy = -0.97 eV/atom
Crystal system = triclinic
Volume = 14.67 A^3/atom
Energy = -4.64 eV per atom

Record 3
Here is MgCu2O4 after structural relaxation from Materials Project. Energies are from PBE-GGA.

Unit cell a=2.942 b=9.651 c=9.321 alpha=90.00 beta=90.00 gamma=90.00
Space group Cmcm (No. 63)
Inequivalent atoms, fractional coordinates:
Mg1 0.000 0.108 0.250 [4 per cell]
Cu1 0.000 0.367 0.071 [8 per cell]
O1 0.000 0.000 0.000 [4 per cell]
O2 0.000 0.280 0.614 [8 per cell]
O3 0.000 0.459 0.250 [4 per cell]

Summary:
Formation energy = -1.41 eV/atom
Crystal system = orthorhombic
Volume = 9.45 A^3/atom
Energy = -5.24 eV per atom

Record 4
Here is MgCu3P3O13 after structural relaxation from Materials Project. Energies are from PBE-GGA.

Unit cell a=7.567 b=6.138 c=10.088 alpha=90.00 beta=100.59 gamma=90.00
Space group P2_1/m (No. 11)
Inequivalent atoms, fractional coordinates:
Mg1 0.144 0.250 0.178 [2 per cell]
Cu1 0.149 0.250 0.797 [2 per cell]
Cu2 0.261 0.750 0.431 [2 per cell]
Cu3 0.500 0.000 0.000 [2 per cell]
P1 0.180 0.750 0.113 [2 per cell]
P2 0.238 0.750 0.759 [2 per cell]
P3 0.290 0.250 0.511 [2 per cell]
O1 0.005 0.250 0.980 [2 per cell]
O2 0.112 0.563 0.789 [4 per cell]
O3 0.120 0.750 0.254 [2 per cell]
O4 0.144 0.250 0.600 [2 per cell]
O5 0.251 0.062 0.404 [4 per cell]
O6 0.286 0.535 0.106 [4 per cell]
O7 0.300 0.750 0.625 [2 per cell]
O8 0.381 0.250 0.904 [2 per cell]
O9 0.412 0.750 0.871 [2 per cell]
O10 0.475 0.250 0.601 [2 per cell]

Summary:
Formation energy = -1.97 eV/atom
Crystal system = monoclinic
Volume = 11.51 A^3/atom
Energy = -6.24 eV per atom

Record 5
Here is MgCuP4O12 after structural relaxation from Materials Project. Energies are from PBE-GGA.

Unit cell a=11.929 b=8.378 c=10.049 alpha=90.00 beta=118.68 gamma=90.00
Space group C2/c (No. 15)
Inequivalent atoms, fractional coordinates:
Mg1 0.000 0.049 0.250 [4 per cell]
Cu1 0.250 0.250 0.500 [4 per cell]
P1 0.007 0.260 0.977 [8 per cell]
P2 0.195 0.488 0.196 [8 per cell]
O1 0.029 0.121 0.902 [8 per cell]
O2 0.049 0.235 0.417 [8 per cell]
O3 0.076 0.393 0.650 [8 per cell]
O4 0.141 0.353 0.067 [8 per cell]
O5 0.202 0.076 0.323 [8 per cell]
O6 0.232 0.422 0.349 [8 per cell]

Summary:
Formation energy = -2.53 eV/atom
Crystal system = monoclinic
Volume = 12.24 A^3/atom
Energy = -6.89 eV per atom

Record 6
Here is MgCuP4Ru2O14 after structural relaxation from Materials Project. Energies are from PBE-GGA.

Unit cell a=5.034 b=6.714 c=8.420 alpha=92.63 beta=90.22 gamma=107.86
Space group P1 (No. 1)
Inequivalent atoms, fractional coordinates:
Mg1 0.000 0.000 0.000 [1 per cell]
Cu1 0.523 0.950 0.804 [1 per cell]
P1 0.175 0.138 0.588 [1 per cell]
P2 0.558 0.251 0.120 [1 per cell]
P3 0.600 0.553 0.656 [1 per cell]
P4 0.989 0.675 0.191 [1 per cell]
Ru1 0.083 0.420 0.884 [1 per cell]
Ru2 0.583 0.902 0.392 [1 per cell]
O1 0.071 0.701 0.012 [1 per cell]
O2 0.082 0.133 0.767 [1 per cell]
O3 0.217 0.678 0.308 [1 per cell]
O4 0.301 0.295 0.051 [1 per cell]
O5 0.359 0.989 0.577 [1 per cell]
O6 0.368 0.370 0.556 [1 per cell]
O7 0.433 0.637 0.786 [1 per cell]
O8 0.449 0.082 0.236 [1 per cell]
O9 0.727 0.719 0.539 [1 per cell]
O10 0.732 0.182 0.983 [1 per cell]
O11 0.762 0.450 0.212 [1 per cell]
O12 0.806 0.454 0.720 [1 per cell]
O13 0.829 0.840 0.207 [1 per cell]
O14 0.943 0.116 0.468 [1 per cell]

Summary:
Formation energy = -2.11 eV/atom
Crystal system = triclinic
Volume = 12.30 A^3/atom
Energy = -6.90 eV per atom